DFT (PBE-GGA) results for a geometry-optimized BaYCu4O7 structure.

Cell: 6.3108 6.3108 10.4564 Å, 90.00 90.00 120.00°
Last column: nearest neighbours and their distance in Å.
Space group P6_3mc (No. 186)
Asymmetric unit:
Ba 0.3333 0.6667 0.0000  9 O 2.86-3.16
Y 0.3333 0.6667 0.3951  6 O 2.25-2.29
Cu 0.0000 0.0000 0.4562  4 O 1.92-1.93
Cu 0.1679 0.3358 0.7055  4 O 1.91-1.96
O 0.0000 0.0000 0.2714  4 Cu 1.93-1.96
O 0.0173 0.5086 0.7816  2 Cu 1.94
O 0.1638 0.3276 0.5230  2 Cu 1.91-1.92

Summary:
magnetic moment: 3.3 μB per formula unit
energy: -5.94 eV/atom
energy of formation: -1735 meV per atom